(1)
The following is a PBE calculation of crystalline RbAg4I5 at its relaxed geometry, from the Materials Project.

## Properties
Total magnetization = 0.00 μB/f.u.

Cell lengths 11.7867, 12.0497, 12.2450 Å; angles 90.17, 93.40, 93.36 degrees
Closest atoms and distances in Å follow each position.
Atoms (fractional coordinates):
Rb 0.1724 0.1142 0.8933  5 I 3.55-3.87, 1 Ag 3.96
Rb 0.4214 0.5201 0.2667  4 I 3.59-3.94
Rb 0.5155 0.8668 0.6375  3 I 3.52-3.64
Rb 0.9026 0.3362 0.3928  5 I 3.62-4.04, 3 Ag 3.92-4.06
Ag 0.4312 0.2327 0.0892  3 I 2.73-2.93
Ag 0.4030 0.3219 0.6969  3 I 2.73-3.00
Ag 0.7979 0.9054 0.4177  3 I 2.75-3.06
Ag 0.7134 0.7844 0.9600  2 I 2.66-2.72, 1 Ag 2.95
Ag 0.7324 0.5688 0.8009  3 I 2.76-3.05, 1 Ag 2.90
Ag 0.6786 0.0772 0.2592  2 I 2.71-2.72
Ag 0.8490 0.1733 0.6763  4 I 2.84-2.98, 1 Ag 3.13
Ag 0.8693 0.5816 0.1858  3 I 2.77-2.91, 1 Ag 3.09
Ag 0.8915 0.4312 0.7010  3 I 2.76-2.97, 2 Ag 2.90-3.05
Ag 0.8234 0.0087 0.9964  4 I 2.84-3.04, 2 Ag 2.95-3.16
Ag 0.0172 0.7373 0.0443  3 I 2.73-2.87
Ag 0.7758 0.2635 0.0038  3 I 2.81-2.94
Ag 0.0415 0.7528 0.4057  2 I 2.70-2.73, 1 Ag 2.94
Ag 0.0645 0.6178 0.7774  2 I 2.66-2.70
Ag 0.1792 0.0242 0.2355  2 I 2.76-2.78
Ag 0.9712 0.8099 0.6243  4 I 2.86-3.19, 2 Ag 2.94-3.19
I 0.0307 0.9768 0.4317  2 Ag 2.73-2.82
I 0.0615 0.2929 0.6550  2 Ag 2.76-2.84
I 0.0851 0.5653 0.2986  2 Ag 2.70-2.84
I 0.2148 0.8651 0.0786  2 Ag 2.73-2.78
I 0.1990 0.7418 0.6528  2 Ag 2.66-2.86
I 0.3322 0.2012 0.2874  2 Ag 2.76-2.77
I 0.3557 0.3721 0.9292  2 Ag 2.73-3.00
I 0.3487 0.0961 0.6698  1 Ag 2.77
I 0.5950 0.7847 0.3751  1 Ag 2.75
I 0.4522 0.4937 0.5588  1 Ag 2.73
I 0.5890 0.0595 0.0502  3 Ag 2.71-2.98
I 0.5390 0.6675 0.8593  2 Ag 2.66-2.76
I 0.6968 0.4155 0.1677  2 Ag 2.77-2.94
I 0.6958 0.1239 0.4773  2 Ag 2.72-2.98
I 0.6918 0.3078 0.7894  3 Ag 2.81-2.97
I 0.8308 0.8166 0.1571  4 Ag 2.72-3.04
I 0.8171 0.6187 0.5817  3 Ag 2.85-2.97
I 0.8620 0.9542 0.7749  3 Ag 2.86-2.93
I 0.9654 0.1698 0.1179  2 Ag 2.84-2.86
I 0.9474 0.5318 0.9436  2 Ag 2.70-2.82

***

(2)
The following is a PBE calculation of crystalline RbAg4I5 at its relaxed geometry, from the Materials Project.

## Properties
Total magnetization = 0.00 μB/f.u.

Cell lengths 11.6905, 11.7479, 11.9425 Å; angles 88.52, 89.01, 89.56 degrees
Closest atoms and distances in Å follow each position.
Atoms (fractional coordinates):
Rb 0.8576 0.8359 0.3731  3 I 3.46-3.82
Rb 0.4260 0.6346 0.6456  4 I 3.47-3.79
Rb 0.1548 0.4173 0.1107  4 I 3.54-3.87
Rb 0.6366 0.1209 0.8797  6 I 3.65-3.91
Ag 0.6161 0.7392 0.9754  4 I 2.86-3.16, 1 Ag 3.00
Ag 0.9763 0.6568 0.8153  2 I 2.67-2.68
Ag 0.7151 0.5706 0.1402  2 I 2.67-2.70
Ag 0.7578 0.3321 0.5245  3 I 2.81-2.94, 1 Ag 2.94
Ag 0.5159 0.2943 0.4746  4 I 2.80-3.06, 3 Ag 2.94-3.05
Ag 0.9637 0.4144 0.7418  3 I 2.76-3.06, 1 Ag 3.01
Ag 0.4776 0.3139 0.2275  3 I 2.85-2.86, 2 Ag 3.00-3.11
Ag 0.0130 0.2296 0.5392  4 I 2.82-3.11
Ag 0.2691 0.2203 0.4433  3 I 2.80-3.12, 3 Ag 3.00-3.05
Ag 0.9914 0.1522 0.8033  4 I 2.80-3.01
Ag 0.5481 0.0584 0.2411  3 I 2.78-3.11, 1 Ag 3.11
Ag 0.2410 0.0023 0.5769  3 I 2.72-2.96, 2 Ag 2.99-3.00
Ag 0.2270 0.9793 0.8263  3 I 2.75-3.02, 2 Ag 2.95-2.99
Ag 0.2905 0.0042 0.3139  3 I 2.77-2.89, 2 Ag 3.01
Ag 0.9972 0.8974 0.7249  3 I 2.79-2.96, 1 Ag 3.01
Ag 0.2431 0.9605 0.0723  3 I 2.73-2.90, 2 Ag 2.95-3.01
I 0.0291 0.9496 0.9582  4 Ag 2.80-3.01
I 0.6892 0.9207 0.1121  2 Ag 2.78-2.86
I 0.4414 0.8818 0.8277  1 Ag 2.75
I 0.1305 0.8011 0.5558  2 Ag 2.72-2.79
I 0.2929 0.7896 0.2235  2 Ag 2.73-2.77
I 0.7707 0.7497 0.7779  2 Ag 2.67-2.95
I 0.6034 0.6913 0.4156  2 Rb 3.46-3.47, 1 Ag 3.82
I 0.9344 0.6122 0.1831  1 Ag 2.67
I 0.1733 0.5384 0.8263  1 Ag 2.68
I 0.5223 0.5185 0.0319  2 Ag 2.70-2.88
I 0.9580 0.4633 0.5150  3 Ag 2.76-2.82
I 0.3357 0.4407 0.3772  3 Ag 2.80-2.95
I 0.5837 0.3614 0.6870  2 Ag 2.80-2.81
I 0.8843 0.3136 0.9391  2 Ag 2.76-2.80
I 0.7045 0.2613 0.2975  4 Ag 2.85-3.11
I 0.2185 0.2055 0.7006  5 Ag 2.85-3.12
I 0.3723 0.1707 0.0707  3 Ag 2.85-3.17
I 0.0799 0.1347 0.3222  3 Ag 2.87-2.94
I 0.8439 0.0727 0.6247  3 Ag 2.87-2.96
I 0.4692 0.0427 0.4729  5 Ag 2.89-3.14

***

(3)
The following is a PBE calculation of crystalline RbAg4I5 at its relaxed geometry, from the Materials Project.

## Properties
Total magnetization = 0.00 μB/f.u.

Cell lengths 11.7591, 11.8027, 11.8120 Å; angles 88.12, 89.21, 89.22 degrees
Closest atoms and distances in Å follow each position.
Atoms (fractional coordinates):
Rb 0.8676 0.8102 0.3759  4 I 3.55-3.81
Rb 0.4044 0.6191 0.6773  5 I 3.64-4.04, 1 Ag 4.02
Rb 0.1342 0.4051 0.1179  4 I 3.54-3.96
Rb 0.6354 0.1105 0.8837  6 I 3.67-3.88
Ag 0.6128 0.7276 0.9707  4 I 2.86-3.17, 1 Ag 2.94
Ag 0.5293 0.6928 0.2045  4 I 2.82-3.08, 1 Ag 2.94
Ag 0.9467 0.6346 0.9301  3 I 2.76-2.83
Ag 0.5568 0.4219 0.4474  4 I 2.83-3.04, 2 Ag 2.94-2.98
Ag 0.9500 0.4405 0.7571  3 I 2.77-2.86
Ag 0.4627 0.3256 0.2385  3 I 2.83-2.91, 2 Ag 2.98-3.10
Ag 0.9990 0.2157 0.5323  3 I 2.82-2.92, 2 Ag 3.08-3.11
Ag 0.7439 0.2774 0.5334  4 I 2.84-3.01, 2 Ag 2.94-3.08
Ag 0.2619 0.2095 0.4456  4 I 2.78-3.08, 2 Ag 2.95-2.97
Ag 0.9800 0.1673 0.7918  3 I 2.78-2.95, 1 Ag 3.11
Ag 0.5483 0.0761 0.2467  4 I 2.81-3.07, 1 Ag 3.10
Ag 0.2387 0.9947 0.5781  3 I 2.73-2.93, 2 Ag 2.95
Ag 0.2266 0.9814 0.8278  3 I 2.74-2.96, 2 Ag 2.91-2.95
Ag 0.2966 0.0001 0.3160  3 I 2.79-2.94, 2 Ag 2.97-2.98
Ag 0.9992 0.8742 0.7429  3 I 2.77-3.10
Ag 0.2463 0.9632 0.0735  3 I 2.77-2.89, 2 Ag 2.91-2.98
I 0.0291 0.9587 0.9632  3 Ag 2.81-2.89
I 0.6696 0.9032 0.1371  3 Ag 2.81-3.08
I 0.4383 0.8805 0.8291  1 Ag 2.74
I 0.1284 0.7936 0.5639  2 Ag 2.73-2.77
I 0.2924 0.7848 0.2250  3 Ag 2.77-2.99
I 0.7807 0.7353 0.7916  3 Ag 2.79-3.10
I 0.5996 0.6576 0.4303  2 Ag 2.82-2.83
I 0.9176 0.6106 0.1621  1 Ag 2.76
I 0.1504 0.5427 0.8396  2 Ag 2.83-2.86
I 0.5001 0.5237 0.0435  2 Ag 2.83-2.86
I 0.9258 0.4440 0.5240  3 Ag 2.77-2.92
I 0.3075 0.4340 0.3856  3 Ag 2.78-3.03
I 0.5673 0.3473 0.6827  2 Ag 2.84-2.89
I 0.8676 0.3077 0.9418  2 Ag 2.78-2.81
I 0.6928 0.2708 0.2908  4 Ag 2.85-3.04
I 0.2070 0.2016 0.7011  5 Ag 2.89-3.18
I 0.3728 0.1700 0.0768  3 Ag 2.88-3.07
I 0.0750 0.1181 0.3220  3 Ag 2.90-2.94
I 0.8352 0.0548 0.6290  4 Ag 2.92-3.14
I 0.4621 0.0487 0.4789  4 Ag 2.83-3.03

***

(4)
The following is a PBE calculation of crystalline RbAg4I5 at its relaxed geometry, from the Materials Project.

## Properties
Total magnetization = 0.00 μB/f.u.

Cell lengths 11.4179, 11.7037, 11.7974 Å; angles 90.27, 90.10, 90.50 degrees
Closest atoms and distances in Å follow each position.
Atoms (fractional coordinates):
Rb 0.9787 0.0066 0.0112  6 I 3.59-4.01
Rb 0.7381 0.4959 0.2453  6 I 3.65-3.86
Rb 0.5180 0.7528 0.7419  6 I 3.63-3.95
Rb 0.2670 0.2438 0.4990  6 I 3.62-3.90
Ag 0.8818 0.2733 0.5929  4 I 2.79-3.02
Ag 0.8299 0.8906 0.5720  4 I 2.82-3.03, 2 Ag 2.99-3.07
Ag 0.7669 0.8643 0.3270  4 I 2.83-2.98, 1 Ag 2.99
Ag 0.6719 0.1360 0.2166  4 I 2.83-3.07
Ag 0.6678 0.0950 0.6090  4 I 2.87-3.05, 2 Ag 3.07-3.21
Ag 0.6128 0.3258 0.9068  4 I 2.87-2.90
Ag 0.4096 0.9173 0.3308  4 I 2.80-3.09, 1 Ag 3.04
Ag 0.3550 0.5841 0.1183  3 I 2.76-2.98, 1 Ag 2.93
Ag 0.3401 0.2135 0.1264  4 I 2.82-3.12, 1 Ag 3.06
Ag 0.2378 0.2860 0.8979  3 I 2.75-2.97, 2 Ag 2.89-3.06
Ag 0.2050 0.8081 0.2039  4 I 2.84-2.98, 2 Ag 3.03-3.04
Ag 0.1941 0.5755 0.9246  3 I 2.80-2.90, 3 Ag 2.89-3.00
Ag 0.1037 0.7578 0.7853  3 I 2.76-2.87, 2 Ag 2.88-2.89
Ag 0.0407 0.4060 0.8026  2 I 2.73, 3 Ag 2.89-3.01
Ag 0.0876 0.6728 0.3904  4 I 2.85-2.99, 2 Ag 2.91-3.03
Ag 0.0609 0.5820 0.6186  3 I 2.79-3.05, 3 Ag 2.88-3.01
I 0.0032 0.4355 0.4392  3 Ag 2.79-2.99
I 0.9545 0.7453 0.1997  3 Ag 2.85-2.97
I 0.9164 0.6013 0.8351  3 Ag 2.73-3.05
I 0.8422 0.0929 0.4132  5 Ag 2.98-3.07
I 0.8021 0.2561 0.0500  2 Ag 2.84-2.87
I 0.7563 0.9541 0.7913  2 Ag 2.82-2.90
I 0.7040 0.6971 0.4902  2 Ag 2.84
I 0.6588 0.3341 0.6658  3 Ag 2.79-2.89
I 0.5894 0.9122 0.1669  3 Ag 2.82-2.83
I 0.5538 0.5523 0.9890  2 Ag 2.76-2.90
I 0.4976 0.2940 0.2930  2 Ag 2.82-2.87
I 0.4449 0.9953 0.5533  2 Ag 2.80-2.87
I 0.4323 0.1505 0.9130  3 Ag 2.75-2.90
I 0.3404 0.6620 0.3426  4 Ag 2.80-3.09
I 0.2884 0.5022 0.7086  3 Ag 2.90-3.23
I 0.2615 0.8131 0.9573  3 Ag 2.78-2.98
I 0.1988 0.0492 0.2482  3 Ag 2.87-3.03
I 0.1621 0.4118 0.0942  4 Ag 2.80-3.12
I 0.0840 0.8433 0.5685  3 Ag 2.76-2.96
I 0.0597 0.1807 0.7452  3 Ag 2.73-2.97

***

(5)
The following is a PBE calculation of crystalline Rb2AgSbI6 at its relaxed geometry, from the Materials Project.

## Properties
Total magnetization = 0.00 μB/f.u.

Cell lengths 8.5466, 8.5466, 8.5466 Å; angles 60.00, 60.00, 60.00 degrees
Closest atoms and distances in Å follow each position.
Atoms (fractional coordinates):
Rb 0.7500 0.7500 0.7500  12 I 4.27
Rb 0.2500 0.2500 0.2500  12 I 4.27
Ag 0.5000 0.5000 0.5000  6 I 3.01
Sb 0.0000 0.0000 0.0000  6 I 3.03
I 0.7489 0.2511 0.2511  1 Ag 3.01, 1 Sb 3.03
I 0.2511 0.2511 0.7489  1 Ag 3.01, 1 Sb 3.03
I 0.2511 0.7489 0.7489  1 Ag 3.01, 1 Sb 3.03
I 0.2511 0.7489 0.2511  1 Ag 3.01, 1 Sb 3.03
I 0.7489 0.2511 0.7489  1 Ag 3.01, 1 Sb 3.03
I 0.7489 0.7489 0.2511  1 Ag 3.01, 1 Sb 3.03

***

(6)
The following is a PBE calculation of crystalline Rb2ScAgI6 at its relaxed geometry, from the Materials Project.

## Properties
Total magnetization = 0.00 μB/f.u.

Cell lengths 8.4005, 8.4005, 8.4005 Å; angles 60.00, 60.00, 60.00 degrees
Closest atoms and distances in Å follow each position.
Atoms (fractional coordinates):
Rb 0.7500 0.7500 0.7500  12 I 4.20
Rb 0.2500 0.2500 0.2500  12 I 4.20
Sc 0.0000 0.0000 0.0000  6 I 2.90
Ag 0.5000 0.5000 0.5000  6 I 3.04
I 0.7557 0.2443 0.2443  1 Sc 2.90, 1 Ag 3.04
I 0.2443 0.2443 0.7557  1 Sc 2.90, 1 Ag 3.04
I 0.2443 0.7557 0.7557  1 Sc 2.90, 1 Ag 3.04
I 0.2443 0.7557 0.2443  1 Sc 2.90, 1 Ag 3.04
I 0.7557 0.2443 0.7557  1 Sc 2.90, 1 Ag 3.04
I 0.7557 0.7557 0.2443  1 Sc 2.90, 1 Ag 3.04

***

(7)
The following is a PBE calculation of crystalline Rb2TaAgI6 at its relaxed geometry, from the Materials Project.

## Properties
Total magnetization = 2.00 μB/f.u.

Cell lengths 8.3258, 8.3258, 8.3258 Å; angles 60.00, 60.00, 60.00 degrees
Closest atoms and distances in Å follow each position.
Atoms (fractional coordinates):
Rb 0.2500 0.2500 0.2500  12 I 4.16
Rb 0.7500 0.7500 0.7500  12 I 4.16
Ta 0.5000 0.5000 0.5000  6 I 2.85
Ag 0.0000 0.0000 0.0000  6 I 3.04
I 0.2578 0.2578 0.7422  1 Ta 2.85, 1 Ag 3.04
I 0.2578 0.7422 0.7422  1 Ta 2.85, 1 Ag 3.04
I 0.7422 0.7422 0.2578  1 Ta 2.85, 1 Ag 3.04
I 0.2578 0.7422 0.2578  1 Ta 2.85, 1 Ag 3.04
I 0.7422 0.2578 0.7422  1 Ta 2.85, 1 Ag 3.04
I 0.7422 0.2578 0.2578  1 Ta 2.85, 1 Ag 3.04

***

(8)
The following is a PBE calculation of crystalline Rb2YAgI6 at its relaxed geometry, from the Materials Project.

## Properties
Total magnetization = 0.00 μB/f.u.

Cell lengths 8.5817, 8.5817, 8.5817 Å; angles 60.00, 60.00, 60.00 degrees
Closest atoms and distances in Å follow each position.
Atoms (fractional coordinates):
Rb 0.7500 0.7500 0.7500  12 I 4.29
Rb 0.2500 0.2500 0.2500  12 I 4.29
Y 0.5000 0.5000 0.5000  6 I 3.03
Ag 0.0000 0.0000 0.0000  6 I 3.04
I 0.7495 0.2505 0.2505  1 Y 3.03, 1 Ag 3.04
I 0.2505 0.2505 0.7495  1 Y 3.03, 1 Ag 3.04
I 0.2505 0.7495 0.7495  1 Y 3.03, 1 Ag 3.04
I 0.2505 0.7495 0.2505  1 Y 3.03, 1 Ag 3.04
I 0.7495 0.2505 0.7495  1 Y 3.03, 1 Ag 3.04
I 0.7495 0.7495 0.2505  1 Y 3.03, 1 Ag 3.04

***

(9)
The following is a PBE calculation of crystalline Ag3SI at its relaxed geometry, from the Materials Project.

## Properties
Maximum piezoelectric response = 0.52 C/m²
Total magnetization = 0.00 μB/f.u.

Cell lengths 4.8761, 5.0203, 5.0599 Å; angles 87.62, 90.00, 90.00 degrees
Closest atoms and distances in Å follow each position.
Atoms (fractional coordinates):
Ag 0.0000 0.5153 0.8851  2 S 2.52-2.61
Ag 0.5000 0.9962 0.1382  2 S 2.55
Ag 0.0000 0.1106 0.4839  2 S 2.58-2.60
S 0.0000 0.0019 0.9909  6 Ag 2.52-2.61
I 0.5000 0.5061 0.5019  6 Ag 3.01-3.21

***

(10)
The following is a PBE calculation of crystalline Ag3SI at its relaxed geometry, from the Materials Project.

## Properties
Total magnetization = 0.00 μB/f.u.

Cell lengths 7.1156, 7.0328, 6.9910 Å; angles 60.98, 59.80, 59.22 degrees
Closest atoms and distances in Å follow each position.
Atoms (fractional coordinates):
Ag 0.9420 0.9420 0.5580  2 S 2.53
Ag 0.4509 0.0562 0.9438  2 S 2.54-2.63
Ag 0.9524 0.9524 0.0476  2 S 2.56
Ag 0.4420 0.4420 0.0580  2 S 2.53
Ag 0.0562 0.4509 0.5491  2 S 2.54-2.63
Ag 0.5541 0.5541 0.4459  2 S 2.55
S 0.2572 0.7586 0.2414  6 Ag 2.53-2.63
S 0.7586 0.2572 0.7428  6 Ag 2.53-2.63
I 0.9950 0.4965 0.0050  6 Ag 3.11-3.21
I 0.4965 0.9950 0.5035  6 Ag 3.11-3.21

***

(11)
The following is a PBE calculation of crystalline Ag3SI at its relaxed geometry, from the Materials Project.

## Properties
Maximum piezoelectric response = 1.05 C/m²
Total magnetization = 0.00 μB/f.u.

Cell lengths 4.8921, 4.9252, 5.1208 Å; angles 89.94, 89.40, 88.72 degrees
Closest atoms and distances in Å follow each position.
Atoms (fractional coordinates):
Ag 0.9768 0.9243 0.0697  2 S 2.57-2.59
Ag 0.9669 0.4270 0.7232  2 S 2.61
Ag 0.5397 0.8026 0.4938  2 S 2.54-2.56
S 0.0342 0.9258 0.5671  6 Ag 2.54-2.61
I 0.4824 0.3863 0.0783  4 Ag 2.98-3.28

***

(12)
The following is a PBE calculation of crystalline Ag3SI at its relaxed geometry, from the Materials Project.

## Properties
Total magnetization = 0.00 μB/f.u.

Cell lengths 5.0096, 5.0096, 5.0096 Å; angles 90.00, 90.00, 90.00 degrees
Closest atoms and distances in Å follow each position.
Atoms (fractional coordinates):
Ag 0.5000 0.5000 0.0000  2 S 2.50
Ag 0.5000 0.0000 0.5000  2 S 2.50
Ag 0.0000 0.5000 0.5000  2 S 2.50
S 0.5000 0.5000 0.5000  6 Ag 2.50
I 0.0000 0.0000 0.0000  12 Ag 3.54

***

no.,energy of formation from the pure elements (eV/atom),E (MP2020) (eV per atom),DFT total energy (eV/atom)
1,-0.63,-2.623,-2.433
2,-0.65,-2.646,-2.457
3,-0.67,-2.666,-2.477
4,-0.68,-2.676,-2.486
5,-1.00,-2.806,-2.579
6,-1.34,-3.372,-3.144
7,-0.90,-3.484,-3.256
8,-1.41,-3.454,-3.227
9,-0.26,-3.088,-2.912
10,-0.25,-3.079,-2.902
11,-0.26,-3.092,-2.915
12,-0.22,-3.049,-2.873